No. 1
## VSnH9C3O3 (PBE with a Hubbard U)

Data for an optimized crystal structure of VSnH9C3O3.

Cell and atoms, written as extended XYZ:
```
136
Lattice="13.6613 0.0000 0.0000 0.0000 11.7055 0.0000 -4.5815 0.0000 10.4724" Properties=species:S:1:pos:R:3 pbc="T T T"
V 0.2244 2.4439 4.6845
V -2.0664 3.4089 9.9207
V 3.1074 2.7344 2.8068
V 0.8166 3.1183 8.0430
V 8.2633 8.5871 2.4294
V 5.9725 8.9711 7.6656
V 11.1462 8.2966 0.5517
V 8.8555 9.2616 5.7878
Sn -3.0522 6.6977 8.2523
Sn -0.7614 10.8605 3.0162
Sn 3.1227 6.2285 7.8048
Sn 5.4134 11.3297 2.5687
Sn 3.6665 0.3757 7.9037
Sn 5.9572 5.4770 2.6675
Sn 9.8413 0.8450 7.4562
Sn 12.1320 5.0078 2.2200
H -3.7955 8.2697 10.3396
H -1.5047 9.2886 5.1034
H -1.6854 6.5838 5.9091
H 0.6053 10.9745 0.6729
H 0.2463 7.0617 2.3772
H -2.0444 10.4965 7.6134
H -0.3705 8.3832 4.0597
H -2.6612 9.1750 9.2959
H -1.2314 0.2281 6.9235
H 1.0593 5.6246 1.6873
H 1.1478 0.6101 1.7318
H -1.1429 5.2427 6.9680
H -1.5040 0.1226 8.6907
H 0.7868 5.7301 3.4545
H -2.0373 7.9465 10.4447
H 0.2534 9.6117 5.2085
H -0.5368 6.9000 7.2425
H 1.7539 10.6582 2.0063
H 1.8542 7.0485 5.5476
H 4.1450 10.5097 0.3114
H 3.4661 6.5201 2.3447
H 1.1754 11.0381 7.5809
H 4.6169 0.5233 0.1281
H 2.3261 5.3294 5.3643
H 4.3631 6.6483 0.8061
H 2.0724 10.9099 6.0423
H 1.3698 8.1454 8.6433
H 3.6605 9.4128 3.4071
H 4.6889 7.8197 2.1205
H 2.3982 9.7385 7.3567
H 3.5457 6.6281 5.1469
H 1.2550 10.9301 10.3831
H 1.6114 6.9527 9.9496
H 3.9021 10.6055 4.7134
H 3.9433 2.3598 6.0554
H 6.2340 3.4929 0.8192
H 2.8459 8.2126 9.6532
H 5.1366 9.3457 4.4170
H 5.1777 1.1000 5.7590
H 7.4685 4.7528 0.5228
H 7.8249 0.7754 0.0893
H 5.5341 5.0774 5.3254
H 6.6817 1.9670 3.1157
H 4.3910 3.8857 8.3518
H 5.4194 2.2927 7.0653
H 7.7101 3.5600 1.8291
H 7.0075 0.7956 4.4300
H 4.7167 5.0572 9.6662
H 6.7537 6.3761 5.1081
H 4.4630 11.1821 10.3443
H 7.9045 0.6673 2.8915
H 5.6138 5.1854 8.1277
H 4.9349 1.1957 10.1610
H 7.2256 4.6570 4.9248
H 7.3260 1.0473 8.4660
H 9.6167 4.8055 3.2299
H 8.8265 2.0938 5.2639
H 11.1172 3.7589 0.0277
H 8.2931 5.9753 7.0179
H 10.5838 11.5829 1.7817
H 10.2228 6.4628 3.5044
H 7.9321 11.0954 8.7406
H 8.0205 6.0809 8.7851
H 10.3113 11.4774 3.5489
H 11.7411 2.5305 1.1765
H 9.4504 3.3223 6.4127
H 11.1243 1.2090 2.8590
H 8.8335 4.6437 8.0951
H 8.4746 0.7310 9.7995
H 10.7653 5.1217 4.5633
H 10.5846 2.4169 5.3689
H 12.8753 3.4358 0.1327
C -2.8603 8.2084 9.7708
C -0.5696 9.3498 4.5346
C 0.3761 5.9773 2.4695
C -1.9146 11.5809 7.7057
C -1.4025 6.3054 6.9288
C 0.8882 11.2528 1.6927
C 2.6563 6.3172 5.7049
C 4.9470 11.2410 0.4687
C 4.4295 6.7810 1.8924
C 2.1388 10.7772 7.1285
C 2.1148 7.5471 9.1800
C 4.4055 10.0111 3.9438
C 4.6744 1.6943 6.5285
C 6.9651 4.1584 1.2923
C 6.9411 0.9283 3.3438
C 4.6503 4.9244 8.5800
C 4.1328 0.4645 10.0037
C 6.4236 5.3883 4.7675
C 8.1916 0.4527 8.7797
C 10.4824 5.4000 3.5435
C 10.9945 0.1245 2.7667
C 8.7038 5.7282 8.0028
C 9.6495 2.3557 5.9377
C 11.9402 3.4971 0.7016
O -3.1609 2.5464 8.9913
O -0.8702 3.3064 3.7551
O -0.0282 0.7878 4.4432
O -2.3189 5.0649 9.6794
O 0.0112 2.8644 6.4472
O 2.3019 2.9883 1.2110
O 1.8861 2.8961 4.1517
O -0.4047 2.9567 9.3879
O 3.7922 1.1957 2.8397
O 1.5015 4.6570 8.0759
O 2.0221 1.9752 8.2530
O 4.3128 3.8776 3.0168
O 4.7671 7.8279 7.4555
O 7.0578 9.7303 2.2194
O 7.5784 7.0484 2.3965
O 5.2877 10.5098 7.6327
O 9.4845 8.7488 1.0844
O 7.1938 8.8094 6.3206
O 6.7779 8.7172 9.2613
O 9.0687 8.8410 4.0251
O 11.3988 6.6406 0.7930
O 9.1081 10.9177 6.0291
O 9.9500 8.3991 6.7172
O 12.2408 9.1591 1.4811
```

The corrected total energy (MP2020 scheme) comes out at -5.73 eV/atom. As for the formation enthalpy at 0 K: -0.67 eV/atom. The space group is P2_1/c.

No. 2
## V2Sn4H24C8O9 (PBE with a Hubbard U)

Data for an optimized crystal structure of V2Sn4H24C8O9.

Cell and atoms, written as extended XYZ:
```
188
Lattice="12.8490 0.0000 0.0000 0.0000 13.7164 0.0000 0.0000 0.0000 13.5658" Properties=species:S:1:pos:R:3 pbc="T T T"
V 0.3025 1.7849 3.3688
V 0.3025 1.7849 10.1970
V 6.1220 8.6431 3.4141
V 6.1220 8.6431 10.1517
V 6.7270 5.0733 3.4141
V 6.7270 5.0733 10.1517
V 12.5465 11.9315 3.3688
V 12.5465 11.9315 10.1970
Sn 1.5700 2.7181 0.0000
Sn 1.6714 10.7691 6.7829
Sn 2.6706 10.0222 3.4747
Sn 2.6706 10.0222 10.0910
Sn 3.7539 3.1640 3.3081
Sn 3.7539 3.1640 10.2576
Sn 4.7531 3.9110 0.0000
Sn 4.8545 9.5763 6.7829
Sn 7.9945 4.1401 6.7829
Sn 8.0960 9.8054 0.0000
Sn 9.0951 10.5524 3.3081
Sn 9.0951 10.5524 10.2576
Sn 10.1784 3.6942 3.4747
Sn 10.1784 3.6942 10.0910
Sn 11.1776 2.9472 6.7829
Sn 11.2790 10.9982 0.0000
H 0.1515 4.8363 0.8925
H 0.1515 4.8363 12.6733
H 0.4539 4.3544 5.8810
H 0.4539 4.3544 7.6847
H 0.4879 8.5978 2.6855
H 0.4879 8.5978 10.8803
H 0.6514 8.2728 6.7829
H 1.4179 13.3105 5.8786
H 1.4179 13.3105 7.6871
H 1.4223 7.6574 3.8821
H 1.4223 7.6574 9.6837
H 1.4996 0.1722 0.8934
H 1.4996 0.1722 12.6723
H 1.5871 5.4305 0.0000
H 1.9820 7.7365 2.1789
H 1.9820 7.7365 11.3868
H 2.4547 12.3295 2.0535
H 2.4547 12.3295 11.5122
H 2.4841 4.6043 5.2234
H 2.4841 4.6043 8.3424
H 2.5142 5.5263 3.6849
H 2.5142 5.5263 9.8809
H 2.9506 13.1340 6.7829
H 3.0353 0.4469 0.0000
H 3.3892 7.3051 6.7829
H 3.4739 6.2758 0.0000
H 3.9104 12.3845 3.0980
H 3.9104 12.3845 10.4677
H 3.9404 11.4624 1.5595
H 3.9404 11.4624 12.0063
H 3.9698 5.4714 4.7294
H 3.9698 5.4714 8.8364
H 4.4425 0.8783 4.6039
H 4.4425 0.8783 8.9618
H 4.8374 12.2887 6.7829
H 4.9249 7.0304 5.8895
H 4.9249 7.0304 7.6763
H 5.0022 0.7992 2.9008
H 5.0022 0.7992 10.6650
H 5.0066 6.4524 0.9043
H 5.0066 6.4524 12.6615
H 5.7731 1.4146 0.0000
H 5.9366 1.7396 4.0974
H 5.9366 1.7396 9.4683
H 5.9706 11.2126 0.9018
H 5.9706 11.2126 12.6639
H 6.2730 11.6945 5.8904
H 6.2730 11.6945 7.6753
H 6.5760 2.0219 5.8904
H 6.5760 2.0219 7.6753
H 6.8784 2.5037 0.9018
H 6.8784 2.5037 12.6639
H 6.9124 11.9767 4.0974
H 6.9124 11.9767 9.4683
H 7.0759 12.3017 0.0000
H 7.8424 7.2640 0.9043
H 7.8424 7.2640 12.6615
H 7.8468 12.9172 2.9008
H 7.8468 12.9172 10.6650
H 7.9241 6.6859 5.8895
H 7.9241 6.6859 7.6763
H 8.0116 1.4276 6.7829
H 8.4065 12.8380 4.6039
H 8.4065 12.8380 8.9618
H 8.8792 8.2450 4.7294
H 8.8792 8.2450 8.8364
H 8.9086 2.2539 1.5595
H 8.9086 2.2539 12.0063
H 8.9387 1.3319 3.0980
H 8.9387 1.3319 10.4677
H 9.3751 7.4406 0.0000
H 9.4598 6.4113 6.7829
H 9.8137 13.2695 0.0000
H 9.8984 0.5824 6.7829
H 10.3349 8.1901 3.6849
H 10.3349 8.1901 9.8809
H 10.3649 9.1121 5.2234
H 10.3649 9.1121 8.3424
H 10.3943 1.3868 2.0535
H 10.3943 1.3868 11.5122
H 10.8670 5.9798 2.1789
H 10.8670 5.9798 11.3868
H 11.2619 8.2858 0.0000
H 11.3494 13.5441 0.8934
H 11.3494 13.5441 12.6723
H 11.4267 6.0590 3.8821
H 11.4267 6.0590 9.6837
H 11.4311 0.4058 5.8786
H 11.4311 0.4058 7.6871
H 12.1976 5.4436 6.7829
H 12.3611 5.1185 2.6855
H 12.3611 5.1185 10.8803
H 12.3951 9.3619 5.8810
H 12.3951 9.3619 7.6847
H 12.6975 8.8800 0.8925
H 12.6975 8.8800 12.6733
C 0.1549 9.2499 6.7829
C 0.7670 4.7084 0.0000
C 1.4917 8.2887 2.9883
C 1.4917 8.2887 10.5774
C 1.8798 12.9031 6.7829
C 1.9528 0.6106 0.0000
C 3.1036 4.9100 4.3739
C 3.1036 4.9100 9.1919
C 3.3209 11.7682 2.4090
C 3.3209 11.7682 11.1568
C 4.4717 7.4688 6.7829
C 4.5447 6.0449 0.0000
C 4.9328 1.4305 3.7945
C 4.9328 1.4305 9.7712
C 5.6575 11.5666 6.7829
C 6.2696 2.3917 0.0000
C 6.5794 11.3247 0.0000
C 7.1915 2.1498 6.7829
C 7.9162 12.2858 3.7945
C 7.9162 12.2858 9.7712
C 8.3043 7.6715 0.0000
C 8.3773 6.2476 6.7829
C 9.5281 1.9482 2.4090
C 9.5281 1.9482 11.1568
C 9.7454 8.8064 4.3739
C 9.7454 8.8064 9.1919
C 10.8962 13.1058 0.0000
C 10.9692 0.8133 6.7829
C 11.3573 5.4277 2.9883
C 11.3573 5.4277 10.5774
C 12.0820 9.0080 0.0000
C 12.6941 4.4665 6.7829
O 0.0000 0.0000 3.4808
O 0.0000 0.0000 10.0850
O 0.0963 2.3185 1.7747
O 0.0963 2.3185 11.7910
O 0.8715 11.0838 4.3643
O 0.8715 11.0838 9.2015
O 1.9145 2.1207 3.8551
O 1.9145 2.1207 9.7107
O 3.1725 10.0774 5.4549
O 3.1725 10.0774 8.1108
O 3.2520 3.2192 1.3280
O 3.2520 3.2192 12.2378
O 4.5101 8.9789 2.9278
O 4.5101 8.9789 10.6379
O 5.5530 4.2256 2.4186
O 5.5530 4.2256 11.1471
O 6.3282 9.1767 5.0081
O 6.3282 9.1767 8.5576
O 6.4245 6.8582 3.3021
O 6.4245 6.8582 10.2636
O 6.5208 4.5396 5.0081
O 6.5208 4.5396 8.5576
O 7.2960 9.4908 2.4186
O 7.2960 9.4908 11.1471
O 8.3390 4.7374 2.9278
O 8.3390 4.7374 10.6379
O 9.5970 10.4972 1.3280
O 9.5970 10.4972 12.2378
O 9.6765 3.6390 5.4549
O 9.6765 3.6390 8.1108
O 10.9346 11.5956 3.8551
O 10.9346 11.5956 9.7107
O 11.9775 2.6326 4.3643
O 11.9775 2.6326 9.2015
O 12.7527 11.3978 1.7747
O 12.7527 11.3978 11.7910
```

The corrected total energy (MP2020 scheme) comes out at -5.68 eV/atom. As for the formation enthalpy at 0 K: -0.70 eV/atom. The space group is Pnnm.

No. 3
## VH16C7O6 (PBE with a Hubbard U)

Data for an optimized crystal structure of VH16C7O6.

Cell and atoms, written as extended XYZ:
```
120
Lattice="12.0444 -3.7696 0.0000 12.0444 3.7696 0.0000 -8.2030 0.0000 14.4123" Properties=species:S:1:pos:R:3 pbc="T T T"
V 3.2981 2.8730 11.8026
V 8.4861 2.8730 9.8159
V 7.3996 -2.8730 4.5964
V 12.5876 -2.8730 2.6097
H 1.2347 1.7499 9.1881
H 7.1934 2.0033 0.7083
H 7.6422 2.1220 3.1569
H 9.1401 2.4180 2.2438
H 5.6369 2.4842 9.6379
H -4.0023 0.1289 13.9368
H -2.4966 0.3692 13.0099
H 0.8069 1.1176 11.5575
H 0.0992 -0.1289 6.7307
H 4.2977 1.2627 7.6604
H 6.1473 2.4842 11.9806
H 0.4194 0.1688 9.2610
H 5.8096 1.2725 6.7179
H 10.8471 2.4180 4.9624
H 1.6049 -0.3692 5.8037
H 4.5209 -0.1688 2.0549
H 2.1729 0.2538 8.9338
H 5.7455 0.4417 4.1154
H 12.3450 2.1220 4.0493
H 6.2744 -0.2538 1.7277
H 0.9535 0.2735 14.3621
H 1.6440 -0.4417 11.3215
H 5.0550 -0.2735 7.1559
H 12.7938 2.0033 6.4979
H 5.4996 0.1837 9.5926
H 14.1776 1.2725 0.4882
H 4.9084 -1.1176 4.3513
H 7.4865 1.2627 13.9581
H 7.0046 0.1548 8.6519
H 9.6012 -0.1837 2.3865
H 4.7795 0.1548 12.9666
H 5.3362 -1.7499 1.9819
H 10.5495 1.7499 12.4304
H 11.1062 -0.1548 1.4457
H 6.2845 0.1837 12.0258
H 8.8810 -0.1548 5.7604
H 8.3992 -1.2627 0.4542
H 10.9773 1.1176 10.0610
H 1.7081 -1.2725 13.9241
H 10.3861 -0.1837 4.8196
H 3.0919 -2.0033 7.9144
H 10.8307 0.2735 7.2564
H 14.2417 0.4417 3.0908
H 14.9322 -0.2735 0.0502
H 9.6113 0.2538 12.6846
H 3.5407 -2.1220 10.3630
H 10.1402 -0.4417 10.2969
H 13.7128 -0.2538 5.4784
H 11.3648 0.1688 12.3574
H 14.2808 0.3692 8.6085
H 5.0386 -2.4180 9.4499
H 10.0761 -1.2725 7.6944
H 15.4663 -0.1688 5.1513
H 9.7384 -2.4842 2.4317
H 11.5880 -1.2627 6.7519
H 15.7865 0.1289 7.6816
H 15.0788 -1.1176 2.8548
H 18.3823 -0.3692 1.4024
H 19.8880 -0.1289 0.4754
H 10.2488 -2.4842 4.7744
H 6.7456 -2.4180 12.1685
H 8.2434 -2.1220 11.2554
H 8.6923 -2.0033 13.7040
H 14.6510 -1.7499 5.2242
C 8.1389 2.8193 2.4648
C -3.4895 0.7866 13.2237
C 11.6919 3.1520 0.2760
C 8.2953 3.1520 6.9302
C 1.3482 0.7036 9.5019
C 11.8483 2.8193 4.7413
C 1.6091 0.6112 10.9961
C 0.6120 -0.7866 6.0176
C 5.2568 0.7480 7.5090
C 6.0619 0.6961 8.7956
C 5.4497 -0.7036 2.2957
C 5.7106 -0.6112 3.7900
C 5.7223 0.6961 12.8228
C 9.3583 -0.7480 0.3028
C 6.5274 0.7480 14.1095
C 10.1634 -0.6961 1.5895
C 10.1750 0.6112 10.6223
C 10.4360 0.7036 12.1166
C 9.8238 -0.6961 5.6167
C 10.6289 -0.7480 6.9033
C 15.2737 0.7866 8.3947
C 14.2766 -0.6112 3.4161
C 4.0374 -2.8193 9.6710
C 14.5375 -0.7036 4.9104
C 7.5904 -3.1520 7.4821
C 4.1937 -3.1520 14.1363
C 19.3752 -0.7866 1.1886
C 7.7468 -2.8193 11.9475
O -0.3958 0.3112 4.0842
O 8.3143 3.0306 5.6727
O 11.6729 3.0306 1.5334
O -4.4973 -0.3112 11.2904
O 1.9535 0.1107 2.7872
O 2.9877 2.3624 13.8335
O -2.1481 -0.1107 9.9933
O 6.4274 2.0171 9.2608
O 2.8681 1.1908 11.3412
O 8.7965 2.3624 7.7850
O 5.3568 2.0171 12.3577
O 8.9161 1.1908 10.2772
O 6.9696 -1.1908 4.1351
O 10.5289 -2.0171 2.0546
O 7.0892 -2.3624 6.6273
O 13.0176 -1.1908 3.0711
O 9.4583 -2.0171 5.1515
O 18.0337 0.1107 4.4190
O 12.8980 -2.3624 0.5788
O 13.9322 -0.1107 11.6251
O 20.3830 0.3112 3.1219
O 4.2128 -3.0306 12.8789
O 7.5714 -3.0306 8.7396
O 16.2815 -0.3112 10.3281
```

The corrected total energy (MP2020 scheme) comes out at -5.95 eV/atom. As for the formation enthalpy at 0 K: -0.69 eV/atom. The space group is C2/c.

| no. | raw total energy (eV/cell) |
| --- | --- |
| 1 | -749.754 |
| 2 | -1029.763 |
| 3 | -690.324 |